44
Lattice="7.539 0.000 0.000 0.000 7.633 0.000 -3.704 0.000 9.015" Properties=species:S:1:pos:R:3 comment="MgMn3P4O14 GGA+U optimized geometry" space_group="No. 14" final_energy_ev_per_atom=-7.41 magnetic_moment_mub_per_cell=30.00 formation_energy_ev_per_atom=-2.620 pbc="T T T"
Mg 0.000 0.000 0.000
Mg -1.852 3.816 4.507
Mn 0.562 0.923 4.262
Mn -1.290 2.893 8.769
Mn 3.769 0.000 0.000
Mn 1.917 3.816 4.507
Mn 5.125 4.740 0.246
Mn 3.273 6.710 4.753
P -1.920 0.621 6.367
P -0.068 3.196 1.860
P 2.016 5.411 1.666
P 0.163 6.038 6.173
P 3.671 1.595 2.842
P 1.819 2.222 7.349
P 3.902 4.437 7.155
P 5.755 7.012 2.648
O -2.160 4.099 7.242
O -0.308 7.350 2.735
O -1.357 1.668 5.408
O 0.495 2.148 0.900
O 0.628 4.611 1.499
O -1.224 6.838 6.007
O -1.577 0.909 7.862
O 0.275 2.908 3.355
O -0.053 4.725 5.408
O 1.800 6.724 0.901
O 3.080 4.545 0.978
O 1.228 6.904 5.485
O 2.258 5.496 3.174
O 0.406 5.953 7.681
O 3.428 1.680 1.334
O 1.576 2.136 5.841
O 2.607 0.729 3.530
O 0.755 3.087 8.037
O 2.035 0.908 8.114
O 3.887 2.908 3.607
O 3.559 4.725 5.660
O 5.411 6.724 1.153
O 5.058 0.794 3.008
O 3.206 3.022 7.515
O 3.339 5.485 8.114
O 5.191 5.965 3.607
O 4.142 0.283 6.280
O 5.994 3.534 1.773